No. 1
# Rb2Li14Tb3O14

A geometry-optimized Rb2Li14Tb3O14 structure (GGA-PBE, the Materials Project database).

abc: 8.619 8.619 8.619
angles: 128.55 123.26 80.12
Fractional coordinates of all 33 atoms:
Rb: 0.000 0.235 0.235
Rb: 0.000 0.765 0.765
Li: 0.085 0.232 0.854
Li: 0.211 0.140 0.619
Li: 0.211 0.593 0.071
Li: 0.345 0.500 0.845
Li: 0.378 0.232 0.146
Li: 0.479 0.407 0.619
Li: 0.479 0.860 0.071
Li: 0.521 0.140 0.929
Li: 0.521 0.593 0.381
Li: 0.622 0.768 0.854
Li: 0.655 0.500 0.155
Li: 0.789 0.407 0.929
Li: 0.789 0.860 0.381
Li: 0.915 0.768 0.146
Tb: 0.230 0.730 0.500
Tb: 0.500 0.000 0.500
Tb: 0.770 0.270 0.500
O: 0.093 0.373 0.720
O: 0.184 0.869 0.316
O: 0.252 0.050 0.798
O: 0.252 0.453 0.202
O: 0.348 0.627 0.720
O: 0.447 0.131 0.316
O: 0.500 0.298 0.798
O: 0.500 0.702 0.202
O: 0.553 0.869 0.684
O: 0.652 0.373 0.280
O: 0.748 0.547 0.798
O: 0.748 0.950 0.202
O: 0.816 0.131 0.684
O: 0.907 0.627 0.280

Values from the calculation:
Symmetry   Immm, No. 71
Total energy after the MP2020 corrections   -5.724 eV per atom

No. 2
# U2CoSi3

A geometry-optimized U2CoSi3 structure (GGA-PBE, the Materials Project database).

abc: 3.726 4.025 6.893
angles: 90.00 90.00 90.00
Fractional coordinates of all 6 atoms:
U: 0.000 0.000 0.000
U: 0.000 0.500 0.484
Co: 0.500 0.000 0.320
Si: 0.500 0.000 0.651
Si: 0.500 0.500 0.163
Si: 0.500 0.500 0.824

Values from the calculation:
Symmetry   Pmm2, No. 25
Total energy after the MP2020 corrections   -8.031 eV per atom

No. 3
# Np2InPt2

A geometry-optimized Np2InPt2 structure (GGA-PBE, the Materials Project database).

abc: 7.695 7.695 3.651
angles: 90.00 90.00 90.00
Fractional coordinates of all 10 atoms:
Np: 0.169 0.331 0.000
Np: 0.331 0.831 0.000
Np: 0.669 0.169 0.000
Np: 0.831 0.669 0.000
In: 0.000 0.000 0.500
In: 0.500 0.500 0.500
Pt: 0.131 0.631 0.500
Pt: 0.369 0.131 0.500
Pt: 0.631 0.869 0.500
Pt: 0.869 0.369 0.500

Values from the calculation:
Symmetry   P4/mbm, No. 127

No. 4
# Ce3In2Ru2

A geometry-optimized Ce3In2Ru2 structure (GGA-PBE, the Materials Project database).

abc: 17.415 4.951 7.710
angles: 90.00 90.00 90.00
Fractional coordinates of all 28 atoms:
Ce: 0.075 0.250 0.010
Ce: 0.136 0.250 0.465
Ce: 0.174 0.750 0.774
Ce: 0.326 0.250 0.274
Ce: 0.364 0.750 0.965
Ce: 0.425 0.750 0.510
Ce: 0.575 0.250 0.490
Ce: 0.636 0.250 0.035
Ce: 0.674 0.750 0.726
Ce: 0.826 0.250 0.226
Ce: 0.864 0.750 0.535
Ce: 0.925 0.750 0.990
In: 0.030 0.750 0.339
In: 0.199 0.750 0.209
In: 0.301 0.250 0.709
In: 0.470 0.250 0.839
In: 0.530 0.750 0.161
In: 0.699 0.750 0.291
In: 0.801 0.250 0.791
In: 0.970 0.250 0.661
Ru: 0.045 0.750 0.720
Ru: 0.208 0.250 0.023
Ru: 0.292 0.750 0.523
Ru: 0.455 0.250 0.220
Ru: 0.545 0.750 0.780
Ru: 0.708 0.250 0.477
Ru: 0.792 0.750 0.977
Ru: 0.955 0.250 0.280

Values from the calculation:
Symmetry   Pnma, No. 62

No. 5
# CeSe2

A geometry-optimized CeSe2 structure (GGA-PBE, the Materials Project database).

abc: 8.461 8.461 9.977
angles: 90.00 90.00 120.00
Fractional coordinates of all 9 atoms:
Ce: 0.000 0.510 0.333
Ce: 0.490 0.490 0.000
Ce: 0.510 0.000 0.667
Se: 0.212 0.464 0.151
Se: 0.252 0.788 0.485
Se: 0.464 0.212 0.849
Se: 0.536 0.748 0.818
Se: 0.748 0.536 0.182
Se: 0.788 0.252 0.515

Values from the calculation:
Symmetry   P3_221, No. 154
Total energy after the MP2020 corrections   -5.687 eV per atom

No. 6
# Ga2HgO4

A geometry-optimized Ga2HgO4 structure (GGA-PBE, the Materials Project database).

abc: 9.321 3.026 10.962
angles: 90.00 90.00 90.00
Fractional coordinates of all 28 atoms:
Ga: 0.068 0.250 0.112
Ga: 0.081 0.250 0.606
Ga: 0.419 0.750 0.106
Ga: 0.432 0.750 0.612
Ga: 0.568 0.250 0.388
Ga: 0.581 0.250 0.894
Ga: 0.919 0.750 0.394
Ga: 0.932 0.750 0.888
Hg: 0.243 0.250 0.347
Hg: 0.257 0.750 0.847
Hg: 0.743 0.250 0.153
Hg: 0.757 0.750 0.653
O: 0.023 0.750 0.715
O: 0.075 0.250 0.929
O: 0.112 0.750 0.482
O: 0.206 0.750 0.150
O: 0.294 0.250 0.650
O: 0.388 0.250 0.982
O: 0.425 0.750 0.429
O: 0.477 0.250 0.215
O: 0.523 0.750 0.785
O: 0.575 0.250 0.571
O: 0.612 0.750 0.018
O: 0.706 0.750 0.350
O: 0.794 0.250 0.850
O: 0.888 0.250 0.518
O: 0.925 0.750 0.071
O: 0.977 0.250 0.285

Values from the calculation:
Symmetry   Pnma, No. 62
Total energy after the MP2020 corrections   -5.422 eV per atom
Polymorph energy (0 for the lowest one)   0.58 eV per formula unit

Number 1: ΔH_f (0 K) -2.33 eV per atom. Number 2: ΔH_f (0 K) -0.37 eV per atom. Number 3: ΔH_f (0 K) -0.47 eV per atom. Number 4: ΔH_f (0 K) -0.46 eV per atom. Number 5: ΔH_f (0 K) -1.38 eV per atom. Number 6: ΔH_f (0 K) -1.69 eV per atom.